(i)
The following is a DFT calculation (PBE with a Hubbard U) of a relaxed structure of MgFeSi2O6.

Unit cell a=6.7412 b=4.8778 c=4.8778 alpha=32.42 beta=90.00 gamma=90.00
Positions (direct):
Mg (0.0000, 0.0000, 0.0000)
Fe (0.5000, 0.5240, 0.5240)
Si (0.2495, 0.2637, 0.2637)
Si (0.7505, 0.2637, 0.2637)
O (0.0000, 0.3336, 0.3336)
O (0.1957, 0.6370, 0.6370)
O (0.2989, 0.8872, 0.8872)
O (0.5000, 0.1991, 0.1991)
O (0.7011, 0.8872, 0.8872)
O (0.8043, 0.6370, 0.6370)

Magnetic moment   4.0 μB/f.u.
V   8.60 Å³ per atom
Symmetry   Amm2

***

(ii)
The following is a DFT calculation (PBE with a Hubbard U) of a relaxed structure of MgFeSi2O6.

Unit cell a=5.3143 b=9.5937 c=9.2555 alpha=90.02 beta=90.01 gamma=103.34
Positions (direct):
O (0.8449, 0.8507, 0.4680)
O (0.6550, 0.6492, 0.0320)
O (0.5075, 0.3804, 0.2365)
O (0.4642, 0.6229, 0.4086)
O (0.9645, 0.1231, 0.9083)
O (0.4927, 0.1196, 0.7365)
O (0.1551, 0.6493, 0.9680)
O (0.3450, 0.3508, 0.9680)
O (0.4926, 0.6196, 0.7635)
O (0.0075, 0.8804, 0.7365)
O (0.5359, 0.8770, 0.9085)
O (0.1551, 0.1493, 0.5319)
O (0.9925, 0.6196, 0.2365)
O (0.3450, 0.8507, 0.5321)
O (0.9642, 0.6230, 0.5915)
O (0.0355, 0.8770, 0.0915)
O (0.5358, 0.3770, 0.5915)
O (0.4644, 0.1230, 0.0915)
O (0.6551, 0.1493, 0.4679)
O (0.8449, 0.3507, 0.0320)
O (0.0357, 0.3770, 0.4085)
O (0.0075, 0.3805, 0.7635)
O (0.5071, 0.8802, 0.2636)
O (0.9924, 0.1196, 0.2634)
Fe (0.7500, 0.0000, 0.1010)
Fe (0.2500, 0.0000, 0.8989)
Fe (0.7500, 0.5000, 0.3990)
Fe (0.2500, 0.5000, 0.6011)
Si (0.4596, 0.7008, 0.9130)
Si (0.9595, 0.2009, 0.4130)
Si (0.5404, 0.7991, 0.4130)
Si (0.4596, 0.2009, 0.5870)
Si (0.0405, 0.2992, 0.9129)
Si (0.9595, 0.7008, 0.0871)
Si (0.0405, 0.7991, 0.5871)
Si (0.5405, 0.2991, 0.0870)
Mg (0.7501, 0.5000, 0.7445)
Mg (0.2500, 0.5000, 0.2556)
Mg (0.7500, 0.9999, 0.7555)
Mg (0.2500, 0.0000, 0.2444)

Magnetic moment   0.0 μB/f.u.
V   11.48 Å³ per atom

***

In terms of stability, (ii) leads; the second structure lies 229 meV/atom higher.

***

(i)
The following is a DFT calculation (PBE with a Hubbard U) of a relaxed structure of CoP4O12.

Unit cell a=8.3835 b=8.3835 c=7.6689 alpha=96.93 beta=96.93 gamma=109.67
Positions (direct):
Co (0.1317, 0.8683, 0.7500)
Co (0.8683, 0.1317, 0.2500)
P (0.0472, 0.2016, 0.6649)
P (0.2016, 0.0472, 0.1649)
P (0.2423, 0.5639, 0.8726)
P (0.4361, 0.7577, 0.6274)
P (0.5639, 0.2423, 0.3726)
P (0.7577, 0.4361, 0.1274)
P (0.7984, 0.9528, 0.8351)
P (0.9528, 0.7984, 0.3351)
O (0.0017, 0.2648, 0.4978)
O (0.0794, 0.1447, 0.1577)
O (0.1091, 0.6426, 0.8182)
O (0.1227, 0.8773, 0.2500)
O (0.1447, 0.0794, 0.6577)
O (0.1577, 0.3602, 0.8194)
O (0.2648, 0.0017, 0.9978)
O (0.3330, 0.6093, 0.0619)
O (0.3574, 0.8909, 0.6818)
O (0.3602, 0.1577, 0.3194)
O (0.3911, 0.6089, 0.7500)
O (0.3907, 0.6670, 0.4381)
O (0.6093, 0.3330, 0.5619)
O (0.6089, 0.3911, 0.2500)
O (0.6398, 0.8423, 0.6806)
O (0.6426, 0.1091, 0.3182)
O (0.6670, 0.3907, 0.9381)
O (0.7352, 0.9983, 0.0022)
O (0.8423, 0.6398, 0.1806)
O (0.8553, 0.9206, 0.3423)
O (0.8773, 0.1227, 0.7500)
O (0.8909, 0.3574, 0.1818)
O (0.9206, 0.8553, 0.8423)
O (0.9983, 0.7352, 0.5022)

Magnetic moment   3.0 μB/f.u.
V   14.60 Å³ per atom
Symmetry   C2/c

***

(ii)
The following is a DFT calculation (PBE with a Hubbard U) of a relaxed structure of CoP4O12.

Unit cell a=5.1937 b=13.6347 c=7.2043 alpha=90.00 beta=97.57 gamma=90.00
Positions (direct):
Co (0.0159, 0.0000, 0.0075)
Co (0.9841, 0.5000, 0.9925)
P (0.2861, 0.5864, 0.3865)
P (0.3563, 0.9313, 0.3977)
P (0.4765, 0.3616, 0.9561)
P (0.4967, 0.6408, 0.0395)
P (0.5033, 0.1408, 0.9605)
P (0.5235, 0.8616, 0.0439)
P (0.6437, 0.4313, 0.6023)
P (0.7139, 0.0864, 0.6135)
O (0.1025, 0.5177, 0.2666)
O (0.1223, 0.9734, 0.2750)
O (0.1435, 0.6664, 0.4753)
O (0.2070, 0.3735, 0.0067)
O (0.2334, 0.1253, 0.0074)
O (0.2783, 0.5800, 0.9371)
O (0.3139, 0.9282, 0.9470)
O (0.3158, 0.8721, 0.5650)
O (0.4166, 0.7528, 0.0015)
O (0.4570, 0.5247, 0.5430)
O (0.4667, 0.3704, 0.7319)
O (0.5002, 0.1297, 0.7359)
O (0.4998, 0.6297, 0.2641)
O (0.5333, 0.8704, 0.2681)
O (0.5430, 0.0247, 0.4570)
O (0.5834, 0.2528, 0.9985)
O (0.6842, 0.3721, 0.4350)
O (0.6861, 0.4282, 0.0530)
O (0.7217, 0.0800, 0.0629)
O (0.7667, 0.6253, 0.9926)
O (0.7930, 0.8735, 0.9933)
O (0.8565, 0.1664, 0.5247)
O (0.8777, 0.4734, 0.7250)
O (0.8975, 0.0177, 0.7334)

Magnetic moment   1.0 μB/f.u.
V   14.87 Å³ per atom
Symmetry   P2_1

***

In terms of stability, (i) leads; the second structure lies 23 meV/atom higher.

***

(i)
The following is a DFT calculation (PBE with a Hubbard U) of a relaxed structure of MgMn6O10F2.

Unit cell a=5.0363 b=5.1222 c=8.8329 alpha=88.47 beta=88.01 gamma=78.73
Positions (direct):
Mg (0.0000, 0.0000, 0.0000)
Mn (0.4771, 0.0428, 0.6759)
Mn (0.4887, 0.0449, 0.3422)
Mn (0.4896, 0.0559, 0.0037)
Mn (0.9298, 0.4949, 0.1813)
Mn (0.9304, 0.5015, 0.8322)
Mn (0.9541, 0.5142, 0.5054)
O (0.1551, 0.3333, 0.0086)
O (0.1656, 0.3464, 0.6714)
O (0.1735, 0.3429, 0.3362)
O (0.3179, 0.9026, 0.8553)
O (0.6432, 0.1850, 0.4989)
O (0.6755, 0.1794, 0.1699)
O (0.6992, 0.2039, 0.8611)
O (0.7455, 0.7064, 0.3412)
O (0.7620, 0.7139, 0.6707)
O (0.7784, 0.7265, 0.0083)
F (0.2801, 0.8809, 0.1641)
F (0.2825, 0.8786, 0.4909)

Magnetic moment   22.0 μB/f.u.
V   11.75 Å³ per atom
Symmetry   P1

***

(ii)
The following is a DFT calculation (PBE with a Hubbard U) of a relaxed structure of MgMn6O10F2.

Unit cell a=2.9635 b=6.7784 c=11.0105 alpha=106.86 beta=90.01 gamma=90.01
Positions (direct):
Mg (0.0000, 0.0000, 0.0000)
Mn (0.4945, 0.6431, 0.8126)
Mn (0.4964, 0.9819, 0.4985)
Mn (0.4987, 0.3643, 0.2159)
Mn (0.9928, 0.1703, 0.8008)
Mn (0.9962, 0.8299, 0.1954)
Mn (0.9977, 0.5212, 0.5122)
O (0.4930, 0.3496, 0.7999)
O (0.4949, 0.0124, 0.8647)
O (0.4968, 0.6540, 0.1996)
O (0.4974, 0.6926, 0.4962)
O (0.4979, 0.0018, 0.1433)
O (0.9946, 0.6271, 0.6962)
O (0.9951, 0.6973, 0.9327)
O (0.9959, 0.0373, 0.6154)
O (0.9969, 0.9569, 0.3819)
O (0.9989, 0.3921, 0.3294)
F (0.4983, 0.3158, 0.5198)
F (0.9980, 0.3013, 0.0735)

Magnetic moment   22.0 μB/f.u.
V   11.14 Å³ per atom
Symmetry   P1

***

In terms of stability, (ii) leads; the second structure lies 23 meV/atom higher.

***

(i)
The following is a DFT calculation (PBE with a Hubbard U) of a relaxed structure of MgMn6O10F2.

Unit cell a=5.0882 b=2.9790 c=14.1160 alpha=90.00 beta=97.87 gamma=90.00
Positions (direct):
Mg (0.0000, 0.0000, 0.0000)
Mn (0.0511, 0.5000, 0.5252)
Mn (0.0570, 0.5000, 0.1969)
Mn (0.1472, 0.5000, 0.8129)
Mn (0.5010, 0.0000, 0.0456)
Mn (0.6004, 0.0000, 0.6691)
Mn (0.6120, 0.0000, 0.3434)
O (0.2441, 0.5000, 0.0752)
O (0.2593, 0.0000, 0.9056)
O (0.2689, 0.0000, 0.2517)
O (0.2722, 0.0000, 0.5767)
O (0.4544, 0.5000, 0.7346)
O (0.7551, 0.5000, 0.6066)
O (0.7664, 0.5000, 0.2823)
O (0.8518, 0.0000, 0.1287)
O (0.9087, 0.0000, 0.4441)
O (0.9273, 0.0000, 0.7622)
F (0.4447, 0.5000, 0.4079)
F (0.7498, 0.5000, 0.9612)

Magnetic moment   22.0 μB/f.u.
V   11.16 Å³ per atom
Symmetry   Pm

***

(ii)
The following is a DFT calculation (PBE with a Hubbard U) of a relaxed structure of MgMn6O10F2.

Unit cell a=5.5811 b=5.9208 c=7.6344 alpha=106.86 beta=96.64 gamma=113.36
Positions (direct):
Mg (0.0000, 0.0000, 0.0000)
Mn (0.2727, 0.5347, 0.3611)
Mn (0.3724, 0.8953, 0.7548)
Mn (0.6152, 0.0012, 0.1884)
Mn (0.6417, 0.4580, 0.6400)
Mn (0.9514, 0.0073, 0.5010)
Mn (0.9648, 0.4798, 0.9870)
O (0.0168, 0.6848, 0.8246)
O (0.1552, 0.8195, 0.5210)
O (0.2561, 0.3293, 0.5241)
O (0.3114, 0.6973, 0.1736)
O (0.5874, 0.8383, 0.9249)
O (0.6054, 0.2737, 0.8180)
O (0.6352, 0.7287, 0.5349)
O (0.7212, 0.1720, 0.4554)
O (0.8571, 0.8621, 0.2328)
O (0.9329, 0.2964, 0.1659)
F (0.0528, 0.1667, 0.8006)
F (0.3845, 0.1702, 0.1406)

Magnetic moment   22.0 μB/f.u.
V   11.26 Å³ per atom
Symmetry   P1

***

(iii)
The following is a DFT calculation (PBE with a Hubbard U) of a relaxed structure of MgMn6O10F2.

Unit cell a=5.7108 b=5.8993 c=7.7426 alpha=105.89 beta=99.88 gamma=113.01
Positions (direct):
Mg (0.0000, 0.0000, 0.0000)
Mn (0.0003, 0.5005, 0.0006)
Mn (0.0009, 0.9995, 0.4999)
Mn (0.3202, 0.5569, 0.3782)
Mn (0.3694, 0.9876, 0.8222)
Mn (0.6313, 0.0129, 0.1784)
Mn (0.6815, 0.4425, 0.6221)
O (0.0305, 0.6935, 0.8295)
O (0.2359, 0.8409, 0.5578)
O (0.3042, 0.3083, 0.5003)
O (0.3559, 0.7025, 0.1768)
O (0.4148, 0.1456, 0.0934)
O (0.5858, 0.8549, 0.9074)
O (0.6448, 0.2982, 0.8241)
O (0.6976, 0.6900, 0.4989)
O (0.7662, 0.1589, 0.4429)
O (0.9704, 0.3068, 0.1711)
F (0.1102, 0.1711, 0.8167)
F (0.8905, 0.8282, 0.1832)

Magnetic moment   22.0 μB/f.u.
V   11.54 Å³ per atom
Symmetry   P1

***

(iv)
The following is a DFT calculation (PBE with a Hubbard U) of a relaxed structure of MgMn6O10F2.

Unit cell a=5.0906 b=2.9706 c=13.9122 alpha=90.00 beta=91.90 gamma=90.00
Positions (direct):
Mg (0.0000, 0.0000, 0.0000)
Mn (0.2982, 0.0000, 0.3319)
Mn (0.4377, 0.0000, 0.6526)
Mn (0.5092, 0.0000, 0.9477)
Mn (0.7933, 0.5000, 0.1876)
Mn (0.8212, 0.5000, 0.4784)
Mn (0.9812, 0.5000, 0.8030)
O (0.1451, 0.5000, 0.4019)
O (0.1749, 0.0000, 0.8691)
O (0.2485, 0.5000, 0.7085)
O (0.4615, 0.5000, 0.2654)
O (0.5625, 0.5000, 0.5761)
O (0.6501, 0.0000, 0.4147)
O (0.7149, 0.0000, 0.0952)
O (0.7762, 0.0000, 0.7534)
O (0.7799, 0.5000, 0.9254)
O (0.9957, 0.0000, 0.2414)
F (0.0057, 0.0000, 0.5492)
F (0.2418, 0.5000, 0.0376)

Magnetic moment   22.0 μB/f.u.
V   11.07 Å³ per atom
Symmetry   Pm

***

In terms of stability, (ii) leads; the second structure lies 7 meV/atom higher.

***

(i)
The following is a DFT calculation (PBE with a Hubbard U) of a relaxed structure of La2MgCo2Sb2Pb2O12.

Unit cell a=6.0260 b=7.2526 c=7.3651 alpha=91.44 beta=90.94 gamma=98.13
Positions (direct):
La (0.0000, 0.0000, 0.0000)
La (0.4814, 0.2531, 0.5518)
Mg (0.2641, 0.6471, 0.5226)
Co (0.0336, 0.4556, 0.8279)
Co (0.4917, 0.9088, 0.2671)
Sb (0.4711, 0.8678, 0.7990)
Sb (0.9932, 0.3459, 0.3005)
Pb (0.4763, 0.4432, 0.0709)
Pb (0.8370, 0.8116, 0.4861)
O (0.1189, 0.3850, 0.5647)
O (0.1540, 0.7331, 0.8069)
O (0.2012, 0.5854, 0.2604)
O (0.2609, 0.2038, 0.2571)
O (0.3517, 0.1051, 0.8515)
O (0.3764, 0.9222, 0.5152)
O (0.5514, 0.6357, 0.6704)
O (0.6039, 0.8215, 0.0403)
O (0.7163, 0.4610, 0.3479)
O (0.7668, 0.0103, 0.7342)
O (0.8005, 0.0998, 0.3277)
O (0.9275, 0.3125, 0.0280)

Magnetic moment   0.0 μB/f.u.
V   15.17 Å³ per atom
Symmetry   P1

***

(ii)
The following is a DFT calculation (PBE with a Hubbard U) of a relaxed structure of La2MgCo2Sb2Pb2O12.

Unit cell a=5.7835 b=6.4956 c=8.6265 alpha=98.34 beta=92.42 gamma=90.75
Positions (direct):
La (0.0000, 0.0000, 0.0000)
La (0.4729, 0.6489, 0.5616)
Mg (0.5117, 0.3299, 0.2057)
Co (0.4447, 0.9193, 0.3051)
Co (0.9691, 0.5679, 0.7580)
Sb (0.5306, 0.1490, 0.7587)
Sb (0.9773, 0.5666, 0.2953)
Pb (0.0046, 0.1668, 0.5114)
Pb (0.4533, 0.6520, 0.9658)
O (0.0313, 0.6656, 0.0908)
O (0.1655, 0.8160, 0.4007)
O (0.2110, 0.7947, 0.7981)
O (0.2621, 0.4059, 0.3475)
O (0.3405, 0.3890, 0.7054)
O (0.3959, 0.0394, 0.1155)
O (0.5769, 0.0285, 0.5321)
O (0.6400, 0.6601, 0.2836)
O (0.7225, 0.7805, 0.8164)
O (0.8470, 0.2790, 0.2027)
O (0.8535, 0.2733, 0.7942)
O (0.8699, 0.5184, 0.5175)

Magnetic moment   6.0 μB/f.u.
V   15.25 Å³ per atom
Symmetry   P1

***

(iii)
The following is a DFT calculation (PBE with a Hubbard U) of a relaxed structure of La2MgCo2Sb2Pb2O12.

Unit cell a=5.6979 b=6.1580 c=8.5204 alpha=91.85 beta=92.18 gamma=90.85
Positions (direct):
La (0.0000, 0.0000, 0.0000)
La (0.4674, 0.6488, 0.4501)
Mg (0.8592, 0.4128, 0.8000)
Co (0.0084, 0.7497, 0.6434)
Co (0.4556, 0.1019, 0.2615)
Sb (0.4442, 0.0967, 0.7108)
Sb (0.9431, 0.5774, 0.2217)
Pb (0.4124, 0.5246, 0.9948)
Pb (0.9152, 0.1327, 0.4478)
O (0.0421, 0.5643, 0.4535)
O (0.1291, 0.3040, 0.1753)
O (0.1644, 0.2592, 0.7992)
O (0.2324, 0.7723, 0.1929)
O (0.2639, 0.8379, 0.7936)
O (0.3209, 0.0332, 0.4886)
O (0.6008, 0.3706, 0.6367)
O (0.6399, 0.4102, 0.2499)
O (0.6492, 0.1662, 0.9064)
O (0.6969, 0.8829, 0.6403)
O (0.7564, 0.8555, 0.2567)
O (0.8745, 0.6144, 0.9875)

Magnetic moment   4.0 μB/f.u.
V   14.22 Å³ per atom
Symmetry   P1

***

In terms of stability, (ii) leads; the second structure lies 31 meV/atom higher.